VASP calculation (GGA-PBE) on an optimized crystal structure of Ba2CuTe2F. Values from VASP.

The structure in Quantum ESPRESSO input format:
```
&SYSTEM
  ibrav = 0, nat = 6, ntyp = 4
/
ATOMIC_SPECIES
Ba 137.33 Ba.upf
Cu 63.55 Cu.upf
Te 127.60 Te.upf
F 19.00 F.upf
ATOMIC_POSITIONS angstrom
Ba 1.9477 1.9477 10.5998
Ba 1.9477 1.9477 5.6927
Cu 1.9477 1.9477 0.0000
Te 1.9477 1.9477 2.4223
Te 1.9477 1.9477 13.8703
F 1.9477 1.9477 8.1463
CELL_PARAMETERS angstrom
3.8954 0.0000 0.0000
0.0000 3.8954 0.0000
0.0000 0.0000 16.2926
```

Calculated values
Formation energy from the elements: -0.749 eV per atom
Total energy: -0.1235 hartree per atom
V: 247.23 Å³/f.u.
Space-group type: P4/mmm, No. 123